Entry from the Materials Project: an optimized crystal structure of Rb2Be2ZnO6F8 (PBE).

a b c (Å): 5.899 11.644 8.960
angles (deg): 90.00 104.50 90.00
Space group P2_1/c (No. 14)
Unique sites:
Rb: 0.149 0.137 0.391 [4 per cell]
Be: 0.243 0.666 0.893 [4 per cell]
Zn: 0.500 0.000 0.000 [2 per cell]
O: 0.153 0.560 0.524 [4 per cell]
O: 0.318 0.121 0.880 [4 per cell]
O: 0.433 0.120 0.140 [4 per cell]
F: 0.079 0.729 0.401 [4 per cell]
F: 0.107 0.586 0.751 [4 per cell]
F: 0.284 0.589 0.035 [4 per cell]
F: 0.479 0.705 0.859 [4 per cell]

Its total magnetization is 24.002 μB/cell. Its formation energy from the elements is -1541.8 meV/atom.